First-principles (PBE) data for Mn2InSbPd4 after structural relaxation, as listed in Materials Project.

abc: 7.8846 7.8846 7.8846
angles: 33.61 33.61 33.61
Closest atoms and distances in Å follow each position.
Positions (direct):
Mn (0.2514, 0.2514, 0.2514)  8 Pd 2.76-2.82
Mn (0.7486, 0.7486, 0.7486)  8 Pd 2.76-2.82
In (0.0000, 0.0000, 0.0000)  8 Pd 2.79
Sb (0.5000, 0.5000, 0.5000)  8 Pd 2.78-2.79
Pd (0.6246, 0.6246, 0.6246)  4 Mn 2.76-2.78, 1 Sb 2.78, 3 In 2.79
Pd (0.1251, 0.1251, 0.1251)  1 In 2.79, 3 Sb 2.79, 4 Mn 2.80-2.82
Pd (0.8749, 0.8749, 0.8749)  1 In 2.79, 3 Sb 2.79, 4 Mn 2.80-2.82
Pd (0.3754, 0.3754, 0.3754)  4 Mn 2.76-2.78, 1 Sb 2.78, 3 In 2.79

Energy relative to the elements = -0.37 eV per atom